An optimized crystal structure of LiCo2CuO6, computed with GGA+U.

Cell lengths 12.679, 2.845, 5.875 Å; angles 90.00, 104.20, 90.00 degrees
Space group C2/m (No. 12)
Symmetry-distinct sites (fractional):
Li: 0.000 0.000 0.000 [2 per cell]
Co: 0.173 0.500 0.828 [4 per cell]
Cu: 0.000 0.000 0.500 [2 per cell]
O: 0.021 0.500 0.745 [4 per cell]
O: 0.165 0.000 0.620 [4 per cell]
O: 0.175 0.000 0.046 [4 per cell]

Output
DFT formation energy (meV/atom): -1202
E (MP2020) (eV/atom): -6.193
Density (g/cm³): 4.60
Volume (Å³ per cell): 205.4

=====

An optimized crystal structure of Li2CoCuO4, computed with GGA+U.

Cell lengths 9.364, 4.148, 8.177 Å; angles 90.00, 115.88, 90.00 degrees
Space group Cm (No. 8)
Symmetry-distinct sites (fractional):
Li: 0.000 0.000 0.000 [2 per cell]
Li: 0.000 0.000 0.498 [2 per cell]
Li: 0.248 0.500 0.622 [2 per cell]
Li: 0.257 0.500 0.129 [2 per cell]
Co: 0.250 0.000 0.375 [2 per cell]
Co: 0.254 0.000 0.876 [2 per cell]
Cu: 0.001 0.500 0.253 [2 per cell]
Cu: 0.006 0.500 0.749 [2 per cell]
O: 0.016 0.000 0.258 [2 per cell]
O: 0.027 0.000 0.762 [2 per cell]
O: 0.228 0.500 0.362 [2 per cell]
O: 0.232 0.500 0.866 [2 per cell]
O: 0.272 0.000 0.145 [2 per cell]
O: 0.278 0.000 0.628 [2 per cell]
O: 0.478 0.000 0.989 [2 per cell]
O: 0.493 0.000 0.495 [2 per cell]

Output
DFT formation energy (meV/atom): -1515
E (MP2020) (eV/atom): -5.867
Density (g/cm³): 4.66
Volume (Å³ per cell): 285.7

=====

An optimized crystal structure of LiCo3CuO8, computed with GGA+U.

Cell lengths 9.846, 5.711, 5.952 Å; angles 90.00, 124.31, 90.00 degrees
Space group C2/m (No. 12)
Symmetry-distinct sites (fractional):
Li: 0.000 0.000 0.000 [2 per cell]
Co: 0.000 0.500 0.500 [2 per cell]
Co: 0.250 0.250 0.500 [4 per cell]
Cu: 0.000 0.000 0.500 [2 per cell]
O: 0.021 0.255 0.303 [8 per cell]
O: 0.234 0.000 0.692 [4 per cell]
O: 0.238 0.500 0.698 [4 per cell]

Output
DFT formation energy (meV/atom): -1113
E (MP2020) (eV/atom): -6.260
Density (g/cm³): 4.51
Volume (Å³ per cell): 276.5

=====

An optimized crystal structure of Li2CoCuO4, computed with GGA+U.

Cell lengths 9.355, 4.148, 8.174 Å; angles 90.00, 115.88, 90.00 degrees
Space group Cm (No. 8)
Symmetry-distinct sites (fractional):
Li: 0.000 0.000 0.000 [2 per cell]
Li: 0.001 0.000 0.499 [2 per cell]
Li: 0.245 0.000 0.371 [2 per cell]
Li: 0.252 0.000 0.876 [2 per cell]
Co: 0.247 0.500 0.623 [2 per cell]
Co: 0.251 0.500 0.124 [2 per cell]
Cu: 0.495 0.000 0.750 [2 per cell]
Cu: 0.499 0.000 0.245 [2 per cell]
O: 0.006 0.500 0.002 [2 per cell]
O: 0.023 0.500 0.511 [2 per cell]
O: 0.223 0.500 0.872 [2 per cell]
O: 0.228 0.500 0.353 [2 per cell]
O: 0.268 0.000 0.632 [2 per cell]
O: 0.273 0.000 0.137 [2 per cell]
O: 0.474 0.500 0.736 [2 per cell]
O: 0.485 0.500 0.241 [2 per cell]

Output
DFT formation energy (meV/atom): -1515
E (MP2020) (eV/atom): -5.867
Density (g/cm³): 4.66
Volume (Å³ per cell): 285.4

=====

An optimized crystal structure of Li4Co3CuO8, computed with GGA+U.

Cell lengths 5.8323, 5.8323, 14.6787 Å; angles 90.00, 90.00, 120.00 degrees
Space group R-3m (No. 166, hexagonal axes)
Symmetry-distinct sites (fractional):
Li: 0.0000 0.0000 0.0000 [3 per cell]
Li: 0.0000 0.5000 0.0000 [9 per cell]
Co: 0.0000 0.5000 0.5000 [9 per cell]
Cu: 0.0000 0.0000 0.5000 [3 per cell]
O: 0.0000 0.0000 0.2441 [6 per cell]
O: 0.0057 0.5028 0.7566 [18 per cell]

Output
DFT formation energy (meV/atom): -1611
E (MP2020) (eV/atom): -6.151
Density (g/cm³): 4.56
Volume (Å³ per cell): 432.4

=====

An optimized crystal structure of Li2CoCuO4, computed with GGA+U.

Cell lengths 5.754, 5.783, 8.539 Å; angles 90.00, 90.00, 90.00 degrees
Space group C222 (No. 21)
Symmetry-distinct sites (fractional):
Li: 0.000 0.000 0.000 [2 per cell]
Li: 0.000 0.500 0.500 [2 per cell]
Li: 0.250 0.250 0.749 [4 per cell]
Co: 0.250 0.250 0.250 [4 per cell]
Cu: 0.000 0.000 0.500 [2 per cell]
Cu: 0.000 0.500 0.000 [2 per cell]
O: 0.000 0.000 0.276 [4 per cell]
O: 0.000 0.500 0.224 [4 per cell]
O: 0.250 0.250 0.015 [4 per cell]
O: 0.250 0.250 0.486 [4 per cell]

Output
DFT formation energy (meV/atom): -1512
E (MP2020) (eV/atom): -5.864
Density (g/cm³): 4.68
Volume (Å³ per cell): 284.1

=====

An optimized crystal structure of Li3Co2Cu3O10, computed with GGA+U.

Cell lengths 5.029, 5.265, 7.445 Å; angles 108.86, 99.67, 102.51 degrees
Space group P-1 (No. 2)
Symmetry-distinct sites (fractional):
Li: 0.000 0.000 0.000 [1 per cell]
Li: 0.285 0.588 0.095 [2 per cell]
Co: 0.388 0.807 0.806 [2 per cell]
Cu: 0.197 0.382 0.403 [2 per cell]
Cu: 0.500 0.000 0.500 [1 per cell]
O: 0.055 0.643 0.842 [2 per cell]
O: 0.182 0.766 0.547 [2 per cell]
O: 0.289 0.031 0.273 [2 per cell]
O: 0.391 0.169 0.955 [2 per cell]
O: 0.448 0.459 0.665 [2 per cell]

Output
DFT formation energy (meV/atom): -1279
E (MP2020) (eV/atom): -5.819
Density (g/cm³): 4.62
Volume (Å³ per cell): 176.0

=====

An optimized crystal structure of Li2CoCuO4, computed with GGA+U.

Cell lengths 5.722, 5.816, 8.208 Å; angles 90.00, 90.00, 90.00 degrees
Space group Imma (No. 74)
Symmetry-distinct sites (fractional):
Li: 0.000 0.000 0.000 [4 per cell]
Li: 0.250 0.250 0.250 [4 per cell]
Co: 0.250 0.250 0.750 [4 per cell]
Cu: 0.000 0.000 0.500 [4 per cell]
O: 0.000 0.023 0.746 [8 per cell]
O: 0.241 0.250 0.514 [8 per cell]

Output
DFT formation energy (meV/atom): -1560
E (MP2020) (eV/atom): -5.912
Density (g/cm³): 4.87
Volume (Å³ per cell): 273.2

=====

An optimized crystal structure of Li4CoCu3P4O16, computed with GGA+U.

Cell lengths 4.741, 6.082, 10.025 Å; angles 90.00, 90.76, 90.00 degrees
Space group Pm (No. 6)
Symmetry-distinct sites (fractional):
Li: 0.000 0.249 0.000 [2 per cell]
Li: 0.494 0.250 0.505 [2 per cell]
Co: 0.477 0.000 0.222 [1 per cell]
Cu: 0.038 0.000 0.718 [1 per cell]
Cu: 0.537 0.500 0.787 [1 per cell]
Cu: 0.945 0.500 0.285 [1 per cell]
P: 0.074 0.500 0.596 [1 per cell]
P: 0.418 0.500 0.098 [1 per cell]
P: 0.580 0.000 0.905 [1 per cell]
P: 0.914 0.000 0.407 [1 per cell]
O: 0.182 0.500 0.449 [1 per cell]
O: 0.216 0.297 0.666 [2 per cell]
O: 0.237 0.000 0.402 [1 per cell]
O: 0.254 0.000 0.899 [1 per cell]
O: 0.284 0.294 0.164 [2 per cell]
O: 0.304 0.500 0.950 [1 per cell]
O: 0.700 0.000 0.050 [1 per cell]
O: 0.716 0.204 0.835 [2 per cell]
O: 0.745 0.500 0.104 [1 per cell]
O: 0.748 0.500 0.602 [1 per cell]
O: 0.770 0.202 0.336 [2 per cell]
O: 0.800 0.000 0.552 [1 per cell]

Output
DFT formation energy (meV/atom): -2229
E (MP2020) (eV/atom): -6.796
Density (g/cm³): 3.78
Volume (Å³ per cell): 289.0

=====

An optimized crystal structure of Li2CoCuP2O8, computed with GGA+U.

Cell lengths 4.752, 6.102, 10.031 Å; angles 89.78, 88.32, 89.97 degrees
Space group P1 (No. 1)
Symmetry-distinct sites (fractional):
Li: 0.000 0.000 0.000 [1 per cell]
Li: 0.000 0.499 0.001 [1 per cell]
Li: 0.498 0.000 0.497 [1 per cell]
Li: 0.498 0.499 0.498 [1 per cell]
Co: 0.019 0.250 0.717 [1 per cell]
Co: 0.970 0.750 0.280 [1 per cell]
Cu: 0.447 0.250 0.214 [1 per cell]
Cu: 0.552 0.750 0.783 [1 per cell]
P: 0.079 0.749 0.595 [1 per cell]
P: 0.428 0.749 0.094 [1 per cell]
P: 0.571 0.250 0.906 [1 per cell]
P: 0.918 0.250 0.400 [1 per cell]
O: 0.194 0.749 0.448 [1 per cell]
O: 0.209 0.542 0.663 [1 per cell]
O: 0.210 0.954 0.662 [1 per cell]
O: 0.246 0.249 0.394 [1 per cell]
O: 0.248 0.248 0.903 [1 per cell]
O: 0.283 0.548 0.165 [1 per cell]
O: 0.283 0.950 0.165 [1 per cell]
O: 0.318 0.749 0.948 [1 per cell]
O: 0.684 0.253 0.051 [1 per cell]
O: 0.712 0.451 0.833 [1 per cell]
O: 0.718 0.050 0.836 [1 per cell]
O: 0.751 0.750 0.604 [1 per cell]
O: 0.752 0.750 0.099 [1 per cell]
O: 0.790 0.044 0.332 [1 per cell]
O: 0.791 0.457 0.332 [1 per cell]
O: 0.795 0.249 0.546 [1 per cell]

Output
DFT formation energy (meV/atom): -2277
E (MP2020) (eV/atom): -6.951
Density (g/cm³): 3.73
Volume (Å³ per cell): 290.7

=====

An optimized crystal structure of Li4Co2Cu3Sb3O16, computed with GGA+U.

Cell lengths 10.496, 6.093, 9.704 Å; angles 90.00, 90.54, 90.00 degrees
Space group Cm (No. 8)
Symmetry-distinct sites (fractional):
Li: 0.000 0.000 0.000 [2 per cell]
Li: 0.013 0.000 0.518 [2 per cell]
Li: 0.193 0.500 0.896 [2 per cell]
Li: 0.354 0.000 0.410 [2 per cell]
Co: 0.197 0.500 0.516 [2 per cell]
Co: 0.381 0.000 0.988 [2 per cell]
Cu: 0.359 0.500 0.232 [2 per cell]
Cu: 0.443 0.245 0.724 [4 per cell]
Sb: 0.111 0.253 0.227 [4 per cell]
Sb: 0.198 0.000 0.729 [2 per cell]
O: 0.006 0.500 0.868 [2 per cell]
O: 0.022 0.000 0.814 [2 per cell]
O: 0.038 0.000 0.335 [2 per cell]
O: 0.041 0.500 0.351 [2 per cell]
O: 0.109 0.240 0.611 [4 per cell]
O: 0.180 0.500 0.109 [2 per cell]
O: 0.183 0.000 0.111 [2 per cell]
O: 0.263 0.276 0.349 [4 per cell]
O: 0.283 0.223 0.852 [4 per cell]
O: 0.345 0.500 0.601 [2 per cell]
O: 0.361 0.000 0.620 [2 per cell]
O: 0.448 0.256 0.118 [4 per cell]

Output
DFT formation energy (meV/atom): -1608
E (MP2020) (eV/atom): -6.098
Density (g/cm³): 5.12
Volume (Å³ per cell): 620.5

=====

An optimized crystal structure of Li4Co2Cu3Sb3O16, computed with GGA+U.

Cell lengths 6.050, 6.072, 9.693 Å; angles 89.36, 89.21, 60.23 degrees
Space group P1 (No. 1)
Symmetry-distinct sites (fractional):
Li: 0.000 0.000 0.000 [1 per cell]
Li: 0.013 0.013 0.481 [1 per cell]
Li: 0.319 0.318 0.378 [1 per cell]
Li: 0.659 0.658 0.892 [1 per cell]
Co: 0.311 0.313 0.995 [1 per cell]
Co: 0.633 0.632 0.469 [1 per cell]
Cu: 0.155 0.155 0.714 [1 per cell]
Cu: 0.325 0.815 0.205 [1 per cell]
Cu: 0.816 0.326 0.205 [1 per cell]
Sb: 0.155 0.649 0.708 [1 per cell]
Sb: 0.649 0.154 0.708 [1 per cell]
Sb: 0.816 0.817 0.209 [1 per cell]
O: 0.024 0.476 0.829 [1 per cell]
O: 0.143 0.666 0.094 [1 per cell]
O: 0.155 0.173 0.084 [1 per cell]
O: 0.308 0.820 0.599 [1 per cell]
O: 0.332 0.332 0.591 [1 per cell]
O: 0.471 0.470 0.832 [1 per cell]
O: 0.474 0.024 0.830 [1 per cell]
O: 0.508 0.950 0.334 [1 per cell]
O: 0.512 0.498 0.348 [1 per cell]
O: 0.652 0.651 0.102 [1 per cell]
O: 0.664 0.140 0.093 [1 per cell]
O: 0.823 0.307 0.600 [1 per cell]
O: 0.830 0.830 0.592 [1 per cell]
O: 0.951 0.513 0.336 [1 per cell]
O: 0.975 0.974 0.816 [1 per cell]
O: 0.989 0.992 0.296 [1 per cell]

Output
DFT formation energy (meV/atom): -1607
E (MP2020) (eV/atom): -6.097
Density (g/cm³): 5.14
Volume (Å³ per cell): 309.1

=====

An optimized crystal structure of Li4V2Co3Cu3O16, computed with GGA+U.

Cell lengths 5.792, 5.846, 9.450 Å; angles 86.13, 89.15, 60.68 degrees
Space group P1 (No. 1)
Symmetry-distinct sites (fractional):
Li: 0.000 0.000 0.000 [1 per cell]
Li: 0.009 0.996 0.504 [1 per cell]
Li: 0.336 0.325 0.593 [1 per cell]
Li: 0.666 0.669 0.092 [1 per cell]
V: 0.341 0.323 0.998 [1 per cell]
V: 0.669 0.642 0.498 [1 per cell]
Co: 0.659 0.166 0.282 [1 per cell]
Co: 0.831 0.831 0.767 [1 per cell]
Co: 0.833 0.349 0.781 [1 per cell]
Cu: 0.168 0.174 0.277 [1 per cell]
Cu: 0.173 0.658 0.278 [1 per cell]
Cu: 0.343 0.825 0.784 [1 per cell]
O: 0.004 0.018 0.698 [1 per cell]
O: 0.045 0.494 0.143 [1 per cell]
O: 0.144 0.221 0.909 [1 per cell]
O: 0.181 0.673 0.906 [1 per cell]
O: 0.345 0.318 0.383 [1 per cell]
O: 0.350 0.815 0.409 [1 per cell]
O: 0.474 0.042 0.140 [1 per cell]
O: 0.494 0.468 0.154 [1 per cell]
O: 0.509 0.950 0.651 [1 per cell]
O: 0.562 0.478 0.642 [1 per cell]
O: 0.650 0.192 0.901 [1 per cell]
O: 0.669 0.658 0.879 [1 per cell]
O: 0.821 0.842 0.409 [1 per cell]
O: 0.837 0.349 0.402 [1 per cell]
O: 0.965 0.520 0.651 [1 per cell]
O: 0.987 0.014 0.191 [1 per cell]

Output
DFT formation energy (meV/atom): -1607
E (MP2020) (eV/atom): -6.557
Density (g/cm³): 4.49
Volume (Å³ per cell): 278.3

=====

An optimized crystal structure of Li4V2Co3Cu3O16, computed with GGA+U.

Cell lengths 10.049, 5.760, 9.301 Å; angles 90.00, 91.56, 90.00 degrees
Space group Cm (No. 8)
Symmetry-distinct sites (fractional):
Li: 0.000 0.000 0.000 [2 per cell]
Li: 0.000 0.000 0.499 [2 per cell]
Li: 0.160 0.500 0.904 [2 per cell]
Li: 0.330 0.000 0.401 [2 per cell]
V: 0.163 0.500 0.502 [2 per cell]
V: 0.329 0.000 0.007 [2 per cell]
Co: 0.084 0.257 0.220 [4 per cell]
Co: 0.170 0.000 0.721 [2 per cell]
Cu: 0.327 0.500 0.222 [2 per cell]
Cu: 0.411 0.244 0.721 [4 per cell]
O: 0.003 0.000 0.308 [2 per cell]
O: 0.004 0.000 0.808 [2 per cell]
O: 0.018 0.500 0.338 [2 per cell]
O: 0.089 0.257 0.596 [4 per cell]
O: 0.159 0.500 0.116 [2 per cell]
O: 0.170 0.000 0.104 [2 per cell]
O: 0.229 0.276 0.346 [4 per cell]
O: 0.250 0.212 0.848 [4 per cell]
O: 0.325 0.000 0.615 [2 per cell]
O: 0.325 0.500 0.583 [2 per cell]
O: 0.415 0.238 0.094 [4 per cell]
O: 0.471 0.000 0.857 [2 per cell]

Output
DFT formation energy (meV/atom): -1640
E (MP2020) (eV/atom): -6.590
Density (g/cm³): 4.65
Volume (Å³ per cell): 538.1

=====

An optimized crystal structure of Li4Co3Cu3W2O16, computed with GGA+U.

Cell lengths 10.300, 5.770, 9.593 Å; angles 90.00, 94.22, 90.00 degrees
Space group Cm (No. 8)
Symmetry-distinct sites (fractional):
Li: 0.000 0.000 0.000 [2 per cell]
Li: 0.001 0.000 0.498 [2 per cell]
Li: 0.151 0.500 0.419 [2 per cell]
Li: 0.324 0.000 0.915 [2 per cell]
Co: 0.082 0.254 0.723 [4 per cell]
Co: 0.166 0.000 0.226 [2 per cell]
Cu: 0.329 0.500 0.724 [2 per cell]
Cu: 0.414 0.243 0.224 [4 per cell]
W: 0.165 0.500 0.995 [2 per cell]
W: 0.318 0.000 0.502 [2 per cell]
O: 0.004 0.000 0.305 [2 per cell]
O: 0.004 0.000 0.811 [2 per cell]
O: 0.017 0.500 0.840 [2 per cell]
O: 0.097 0.252 0.095 [4 per cell]
O: 0.157 0.500 0.627 [2 per cell]
O: 0.166 0.000 0.618 [2 per cell]
O: 0.229 0.272 0.854 [4 per cell]
O: 0.233 0.214 0.366 [4 per cell]
O: 0.321 0.000 0.133 [2 per cell]
O: 0.335 0.500 0.085 [2 per cell]
O: 0.415 0.245 0.597 [4 per cell]
O: 0.466 0.000 0.367 [2 per cell]

Output
DFT formation energy (meV/atom): -1660
E (MP2020) (eV/atom): -6.887
Density (g/cm³): 5.95
Volume (Å³ per cell): 568.5